A plane-wave DFT calculation with GGA+U was carried out for crystalline FeBiSe3O9 at its relaxed geometry. Values from VASP.

Cell and atoms, written as Quantum ESPRESSO input:
```
&SYSTEM
  ibrav = 0, nat = 56, ntyp = 4
/
ATOMIC_SPECIES
Fe 55.84 Fe.upf
Bi 208.98 Bi.upf
Se 78.96 Se.upf
O 16.00 O.upf
CELL_PARAMETERS angstrom
-6.803 2.468 2.767
2.222 -2.938 8.083
5.276 11.488 2.726
ATOMIC_POSITIONS angstrom
Fe -2.760 4.824 5.227
Fe 0.893 9.253 10.165
Fe 2.316 7.673 4.319
Fe 0.942 0.284 7.440
Bi -0.972 5.913 9.341
Bi -4.079 1.232 4.407
Bi 2.317 3.802 8.465
Bi 4.125 11.087 4.939
Se 1.820 7.229 7.494
Se 1.498 0.857 4.296
Se -2.550 3.239 11.156
Se 0.624 10.709 4.207
Se -1.111 2.832 7.188
Se -1.314 10.031 7.917
Se 5.316 5.845 9.454
Se -1.501 3.325 2.593
Se -0.946 7.437 3.853
Se -3.935 0.076 9.982
Se 2.699 4.263 4.799
Se 3.574 10.258 8.517
O 1.181 7.783 6.004
O 2.069 0.156 5.751
O -4.493 5.755 4.709
O 2.635 8.341 10.688
O 0.682 7.992 8.566
O -3.808 3.342 6.176
O 2.537 1.044 8.477
O 1.981 9.656 3.932
O 1.120 5.613 7.629
O 0.816 -0.534 3.447
O -2.110 4.949 11.125
O 1.565 12.005 4.950
O -1.101 3.802 8.622
O -0.370 11.137 6.975
O 3.879 5.393 8.600
O -1.017 1.702 2.955
O 0.577 2.344 7.186
O 4.009 8.504 5.259
O -0.298 7.758 11.053
O -2.897 3.429 3.654
O -1.075 3.966 5.893
O -0.738 10.228 9.527
O 3.291 7.566 2.571
O -0.086 0.275 9.160
O 0.876 5.043 10.313
O -5.775 2.432 3.513
O 3.196 3.683 6.382
O 3.095 10.876 6.943
O 0.648 6.945 3.402
O 1.369 -1.689 7.716
O -2.681 6.128 6.791
O 2.055 10.650 9.243
O -1.764 5.934 3.879
O 0.801 10.112 11.981
O 3.081 5.924 4.951
O -0.727 0.064 6.341
```

Space group: P2_12_12_1 (19)
ΔH_f (0 K), kJ per mole of atoms: -138.7
Total energy after the MP2020 corrections, eV/atom: -6.25
E_tot, eV/atom: -5.65

---

A plane-wave DFT calculation with GGA+U was carried out for crystalline YFe2Bi2Se2O4 at its relaxed geometry. Values from VASP.

Cell and atoms, written as Quantum ESPRESSO input:
```
&SYSTEM
  ibrav = 0, nat = 11, ntyp = 5
/
ATOMIC_SPECIES
Y 88.91 Y.upf
Fe 55.84 Fe.upf
Bi 208.98 Bi.upf
Se 78.96 Se.upf
O 16.00 O.upf
CELL_PARAMETERS angstrom
-1.981 1.981 12.613
1.981 -1.981 12.613
1.981 1.981 -12.613
ATOMIC_POSITIONS angstrom
Y 0.000 0.000 0.000
Fe 0.000 1.981 6.306
Fe 1.981 0.000 6.306
Bi 0.000 0.000 10.129
Bi 0.000 0.000 15.096
Se 0.000 0.000 20.565
Se 0.000 0.000 4.660
O 1.981 0.000 1.381
O 1.981 0.000 11.231
O 0.000 1.981 1.381
O 0.000 1.981 11.231
```

Space group: I4/mmm (139)
ΔH_f (0 K), kJ per mole of atoms: -145.3
Total energy after the MP2020 corrections, eV/atom: -6.78
E_tot, eV/atom: -6.12

---

A plane-wave DFT calculation with GGA+U was carried out for crystalline Fe2Si2BiO9 at its relaxed geometry. Values from VASP.

Cell and atoms, written as Quantum ESPRESSO input:
```
&SYSTEM
  ibrav = 0, nat = 14, ntyp = 4
/
ATOMIC_SPECIES
Fe 55.84 Fe.upf
Si 28.09 Si.upf
Bi 208.98 Bi.upf
O 16.00 O.upf
CELL_PARAMETERS angstrom
-2.588 -4.506 0.524
-2.615 4.520 0.510
0.049 0.012 -8.034
ATOMIC_POSITIONS angstrom
Fe -2.499 -1.429 -7.501
Fe -2.573 1.491 0.500
Si -3.584 -1.520 -4.434
Si -3.605 1.572 -4.449
Bi -0.398 0.017 -2.068
O -1.049 1.661 -0.833
O -1.102 -1.595 -0.854
O -3.548 -0.010 -0.429
O -3.895 -1.704 -6.015
O -3.921 1.708 -6.032
O -1.747 -0.075 -6.600
O -2.175 2.288 -4.046
O -2.160 -2.247 -4.034
O -3.487 0.028 -3.923
```

Space group: P1 (1)
ΔH_f (0 K), kJ per mole of atoms: -216.7
Total energy after the MP2020 corrections, eV/atom: -7.69
E_tot, eV/atom: -6.93

---

A plane-wave DFT calculation with GGA+U was carried out for crystalline Fe2Si2BiO9 at its relaxed geometry. Values from VASP.

Cell and atoms, written as Quantum ESPRESSO input:
```
&SYSTEM
  ibrav = 0, nat = 14, ntyp = 4
/
ATOMIC_SPECIES
Fe 55.84 Fe.upf
Si 28.09 Si.upf
Bi 208.98 Bi.upf
O 16.00 O.upf
CELL_PARAMETERS angstrom
-2.602 -4.492 0.530
-2.602 4.492 0.530
0.085 0.000 -8.043
ATOMIC_POSITIONS angstrom
Fe -2.464 -1.465 -7.516
Fe -2.464 1.465 -7.516
Si -3.574 -1.538 -4.423
Si -3.574 1.538 -4.423
Bi -0.403 0.000 -2.087
O -1.077 1.629 -0.853
O -1.077 -1.629 -0.853
O -3.546 0.000 -0.415
O -3.887 -1.692 -6.009
O -3.887 1.692 -6.009
O -1.705 0.000 -6.595
O -2.148 2.264 -4.031
O -2.148 -2.264 -4.031
O -3.453 0.000 -3.890
```

Space group: Cm (8)
ΔH_f (0 K), kJ per mole of atoms: -216.5
Total energy after the MP2020 corrections, eV/atom: -7.69
E_tot, eV/atom: -6.92